1) VASP calculation (GGA+U) on a relaxed structure of CaLa2Co2Sb2Pb2O12.

## Properties
M_tot = 4.003 μB/f.u.
calculated volume = 306.2 Å³ per cell

Lattice parameters (Å, degrees): 6.075 6.208 8.129 87.88 88.96 88.11
Space group P1 (No. 1)
Unique sites:
Ca: 0.000 0.000 0.000 [1 per cell]
La: 0.030 0.286 0.636 [1 per cell]
La: 0.530 0.756 0.232 [1 per cell]
Co: 0.070 0.615 0.847 [1 per cell]
Co: 0.574 0.280 0.431 [1 per cell]
Sb: 0.029 0.805 0.443 [1 per cell]
Sb: 0.546 0.303 0.928 [1 per cell]
Pb: 0.103 0.385 0.223 [1 per cell]
Pb: 0.527 0.874 0.706 [1 per cell]
O: 0.124 0.771 0.200 [1 per cell]
O: 0.245 0.044 0.452 [1 per cell]
O: 0.263 0.561 0.471 [1 per cell]
O: 0.272 0.153 0.856 [1 per cell]
O: 0.382 0.589 0.902 [1 per cell]
O: 0.501 0.370 0.175 [1 per cell]
O: 0.635 0.988 0.996 [1 per cell]
O: 0.645 0.253 0.689 [1 per cell]
O: 0.775 0.997 0.373 [1 per cell]
O: 0.822 0.554 0.415 [1 per cell]
O: 0.870 0.383 0.941 [1 per cell]
O: 0.967 0.840 0.691 [1 per cell]

2) VASP calculation (GGA+U) on a relaxed structure of CaLa2Co2Sb2Pb2O12.

## Properties
M_tot = 5.997 μB/f.u.
calculated volume = 333.3 Å³ per cell

Lattice parameters (Å, degrees): 6.273 6.618 8.940 75.87 75.35 70.51
Space group P1 (No. 1)
Unique sites:
Ca: 0.000 0.000 0.000 [1 per cell]
La: 0.417 0.395 0.359 [1 per cell]
La: 0.813 0.708 0.820 [1 per cell]
Co: 0.357 0.806 0.599 [1 per cell]
Co: 0.954 0.435 0.230 [1 per cell]
Sb: 0.458 0.912 0.153 [1 per cell]
Sb: 0.919 0.307 0.632 [1 per cell]
Pb: 0.364 0.385 0.890 [1 per cell]
Pb: 0.933 0.894 0.385 [1 per cell]
O: 0.018 0.316 0.836 [1 per cell]
O: 0.072 0.545 0.550 [1 per cell]
O: 0.114 0.135 0.187 [1 per cell]
O: 0.134 0.645 0.202 [1 per cell]
O: 0.169 0.746 0.815 [1 per cell]
O: 0.229 0.119 0.543 [1 per cell]
O: 0.392 0.764 0.376 [1 per cell]
O: 0.616 0.559 0.694 [1 per cell]
O: 0.639 0.085 0.192 [1 per cell]
O: 0.720 0.608 0.104 [1 per cell]
O: 0.758 0.094 0.768 [1 per cell]
O: 0.786 0.328 0.443 [1 per cell]

3) VASP calculation (GGA+U) on a relaxed structure of CaLa2Co2Sb2Pb2O12.

## Properties
M_tot = 6.004 μB/f.u.
calculated volume = 325.2 Å³ per cell

Lattice parameters (Å, degrees): 5.721 5.969 9.746 77.95 87.82 88.47
Space group P1 (No. 1)
Unique sites:
Ca: 0.000 0.000 0.000 [1 per cell]
La: 0.041 0.184 0.629 [1 per cell]
La: 0.555 0.580 0.036 [1 per cell]
Co: 0.042 0.601 0.843 [1 per cell]
Co: 0.573 0.235 0.427 [1 per cell]
Sb: 0.056 0.760 0.422 [1 per cell]
Sb: 0.531 0.129 0.847 [1 per cell]
Pb: 0.070 0.301 0.232 [1 per cell]
Pb: 0.531 0.717 0.639 [1 per cell]
O: 0.078 0.593 0.624 [1 per cell]
O: 0.281 0.002 0.480 [1 per cell]
O: 0.284 0.333 0.911 [1 per cell]
O: 0.286 0.887 0.836 [1 per cell]
O: 0.424 0.420 0.260 [1 per cell]
O: 0.500 0.257 0.642 [1 per cell]
O: 0.579 0.968 0.045 [1 per cell]
O: 0.785 0.344 0.870 [1 per cell]
O: 0.786 0.949 0.473 [1 per cell]
O: 0.794 0.908 0.800 [1 per cell]
O: 0.883 0.419 0.414 [1 per cell]
O: 0.972 0.612 0.057 [1 per cell]

Which is less stable than every other structure shown? 1) is.